# Na18Mg20Nb4Si3S33O144 | the Materials Project | PBE-GGA | relaxed
data_Na18Mg20Nb4Si3S33O144
_cell_length_a 8.7612
_cell_length_b 15.1732
_cell_length_c 22.5859
_cell_angle_alpha 90.05
_cell_angle_beta 90.01
_cell_angle_gamma 90.05
_space_group_name_H-M_alt 'P 1'
_space_group_IT_number 1
loop_
_space_group_symop_operation_xyz
'x,y,z'
loop_
_atom_site_label
_atom_site_type_symbol
_atom_site_fract_x
_atom_site_fract_y
_atom_site_fract_z
_atom_site_occupancy
Na1 Na 0.0000 0.0000 0.0000 1
Na2 Na 0.0002 0.3199 0.1654 1
Na3 Na 0.0065 0.6715 0.3299 1
Na4 Na 0.0085 0.3233 0.6619 1
Na5 Na 0.0097 0.9915 0.4979 1
Na6 Na 0.1809 0.5104 0.4176 1
Na7 Na 0.1851 0.1451 0.4193 1
Na8 Na 0.1905 0.8448 0.0874 1
Na9 Na 0.4890 0.1631 0.8310 1
Na10 Na 0.5020 0.1628 0.3274 1
Na11 Na 0.5022 0.4924 0.9928 1
Na12 Na 0.5018 0.8313 0.1659 1
Na13 Na 0.5100 0.4919 0.4993 1
Na14 Na 0.5096 0.8222 0.6614 1
Na15 Na 0.6816 0.0101 0.4141 1
Na16 Na 0.6850 0.6472 0.4227 1
Na17 Na 0.8182 0.1470 0.9167 1
Na18 Na 0.9977 0.6621 0.8252 1
Mg1 Mg 0.0004 0.3255 0.5200 1
Mg2 Mg 0.0015 0.3278 0.8119 1
Mg3 Mg 0.0011 0.9931 0.8487 1
Mg4 Mg 0.0035 0.9927 0.3448 1
Mg5 Mg 0.0049 0.6662 0.1852 1
Mg6 Mg 0.4941 0.1638 0.6828 1
Mg7 Mg 0.4948 0.1631 0.4862 1
Mg8 Mg 0.4965 0.1604 0.9817 1
Mg9 Mg 0.4955 0.8310 0.3125 1
Mg10 Mg 0.5013 0.8258 0.5196 1
Mg11 Mg 0.5023 0.1565 0.1832 1
Mg12 Mg 0.5024 0.4936 0.8487 1
Mg13 Mg 0.5048 0.4916 0.3493 1
Mg14 Mg 0.5054 0.8293 0.8116 1
Mg15 Mg 0.5055 0.8298 0.0167 1
Mg16 Mg 0.9932 0.6633 0.6823 1
Mg17 Mg 0.9942 0.6640 0.4865 1
Mg18 Mg 0.9969 0.3238 0.0159 1
Mg19 Mg 0.9977 0.0016 0.1504 1
Mg20 Mg 0.9990 0.3245 0.3135 1
Nb1 Nb 0.0052 0.9979 0.6437 1
Nb2 Nb 0.0079 0.6609 0.9777 1
Nb3 Nb 0.4959 0.4950 0.1448 1
Nb4 Nb 0.5048 0.4982 0.6440 1
Si1 Si 0.2156 0.1703 0.5805 1
Si2 Si 0.2956 0.6663 0.0853 1
Si3 Si 0.7142 0.6701 0.5805 1
S1 S 0.1431 0.5160 0.5821 1
S2 S 0.1471 0.8477 0.2478 1
S3 S 0.1484 0.4709 0.9157 1
S4 S 0.1483 0.8057 0.5831 1
S5 S 0.1493 0.1436 0.2495 1
S6 S 0.1488 0.1823 0.9147 1
S7 S 0.2046 0.4950 0.2507 1
S8 S 0.2108 0.8314 0.9155 1
S9 S 0.2936 0.3293 0.4143 1
S10 S 0.2943 0.9948 0.7506 1
S11 S 0.3516 0.3040 0.0828 1
S12 S 0.3521 0.6411 0.7506 1
S13 S 0.3520 0.6829 0.4141 1
S14 S 0.3530 0.0166 0.0818 1
S15 S 0.3540 0.9731 0.4151 1
S16 S 0.3548 0.3485 0.7505 1
S17 S 0.6423 0.6820 0.9155 1
S18 S 0.6431 0.0159 0.5824 1
S19 S 0.6463 0.9741 0.9150 1
S20 S 0.6472 0.3475 0.2492 1
S21 S 0.6479 0.3063 0.5831 1
S22 S 0.6489 0.6416 0.2502 1
S23 S 0.7061 0.9947 0.2492 1
S24 S 0.7078 0.3298 0.9155 1
S25 S 0.7934 0.1619 0.0815 1
S26 S 0.7945 0.4950 0.7507 1
S27 S 0.7936 0.8289 0.4139 1
S28 S 0.8509 0.1829 0.4146 1
S29 S 0.8515 0.1415 0.7505 1
S30 S 0.8521 0.8074 0.0832 1
S31 S 0.8553 0.4727 0.4142 1
S32 S 0.8552 0.8480 0.7504 1
S33 S 0.8598 0.5148 0.0836 1
O1 O 0.0703 0.5642 0.9225 1
O2 O 0.0705 0.8974 0.5909 1
O3 O 0.0732 0.0932 0.9088 1
O4 O 0.0732 0.7589 0.2447 1
O5 O 0.0764 0.4278 0.5752 1
O6 O 0.0766 0.2223 0.9681 1
O7 O 0.0774 0.2326 0.2546 1
O8 O 0.0782 0.4350 0.8621 1
O9 O 0.0779 0.7700 0.5290 1
O10 O 0.0816 0.1005 0.1972 1
O11 O 0.0822 0.8913 0.3006 1
O12 O 0.0840 0.5591 0.6347 1
O13 O 0.0917 0.2467 0.5768 1
O14 O 0.0994 0.0750 0.5939 1
O15 O 0.1049 0.7474 0.9223 1
O16 O 0.1060 0.9064 0.9093 1
O17 O 0.1102 0.5735 0.2423 1
O18 O 0.1139 0.4137 0.2528 1
O19 O 0.1160 0.4219 0.9700 1
O20 O 0.1179 0.8987 0.1926 1
O21 O 0.1187 0.2363 0.8615 1
O22 O 0.1216 0.0920 0.3049 1
O23 O 0.1232 0.7536 0.6363 1
O24 O 0.1302 0.5684 0.5267 1
O25 O 0.1808 0.6457 0.0243 1
O26 O 0.1825 0.6786 0.1387 1
O27 O 0.1831 0.0026 0.0875 1
O28 O 0.1837 0.6685 0.4206 1
O29 O 0.1854 0.9871 0.4089 1
O30 O 0.1861 0.3414 0.7542 1
O31 O 0.1863 0.6489 0.7415 1
O32 O 0.1869 0.3214 0.0764 1
O33 O 0.1903 0.9836 0.6959 1
O34 O 0.1957 0.0071 0.8026 1
O35 O 0.1973 0.3149 0.3613 1
O36 O 0.1975 0.3458 0.4673 1
O37 O 0.2941 0.1420 0.5190 1
O38 O 0.2976 0.8396 0.9708 1
O39 O 0.3029 0.5073 0.3034 1
O40 O 0.3030 0.8127 0.8630 1
O41 O 0.3122 0.4837 0.1960 1
O42 O 0.3116 0.8236 0.5758 1
O43 O 0.3133 0.4879 0.9103 1
O44 O 0.3139 0.1750 0.6377 1
O45 O 0.3158 0.1719 0.9218 1
O46 O 0.3157 0.8376 0.2533 1
O47 O 0.3170 0.5042 0.5899 1
O48 O 0.3176 0.1531 0.2434 1
O49 O 0.3790 0.0703 0.0284 1
O50 O 0.3815 0.7345 0.3602 1
O51 O 0.3821 0.2533 0.1364 1
O52 O 0.3827 0.5863 0.8028 1
O53 O 0.3832 0.9211 0.4690 1
O54 O 0.3844 0.9125 0.7534 1
O55 O 0.3877 0.4042 0.6964 1
O56 O 0.3902 0.4108 0.4075 1
O57 O 0.3918 0.0727 0.7433 1
O58 O 0.3927 0.2501 0.4203 1
O59 O 0.3995 0.5726 0.0909 1
O60 O 0.4002 0.7499 0.0729 1
O61 O 0.4173 0.0568 0.1355 1
O62 O 0.4188 0.3919 0.8032 1
O63 O 0.4217 0.5957 0.6959 1
O64 O 0.4222 0.7224 0.4672 1
O65 O 0.4221 0.9266 0.0755 1
O66 O 0.4223 0.9320 0.3622 1
O67 O 0.4225 0.2698 0.0289 1
O68 O 0.4239 0.5915 0.4085 1
O69 O 0.4275 0.7283 0.7539 1
O70 O 0.4277 0.2614 0.7447 1
O71 O 0.4279 0.3974 0.0913 1
O72 O 0.4289 0.0632 0.4189 1
O73 O 0.5705 0.3972 0.5908 1
O74 O 0.5740 0.7280 0.2522 1
O75 O 0.5765 0.2608 0.2405 1
O76 O 0.5764 0.9278 0.5756 1
O77 O 0.5775 0.2703 0.5290 1
O78 O 0.5782 0.5932 0.1957 1
O79 O 0.5794 0.3902 0.3015 1
O80 O 0.5804 0.0653 0.9208 1
O81 O 0.5797 0.5920 0.9097 1
O82 O 0.5795 0.9332 0.8617 1
O83 O 0.5808 0.7231 0.9690 1
O84 O 0.5841 0.0590 0.6350 1
O85 O 0.5903 0.7476 0.5764 1
O86 O 0.5989 0.5742 0.5939 1
O87 O 0.6076 0.4081 0.9091 1
O88 O 0.6077 0.9145 0.2544 1
O89 O 0.6088 0.0747 0.2432 1
O90 O 0.6118 0.2477 0.9219 1
O91 O 0.6116 0.4059 0.1952 1
O92 O 0.6187 0.5873 0.3033 1
O93 O 0.6189 0.9211 0.9686 1
O94 O 0.6237 0.2538 0.6363 1
O95 O 0.6242 0.7354 0.8620 1
O96 O 0.6308 0.0683 0.5272 1
O97 O 0.6828 0.1691 0.4214 1
O98 O 0.6860 0.1489 0.7417 1
O99 O 0.6865 0.4872 0.4080 1
O100 O 0.6858 0.5059 0.0884 1
O101 O 0.6868 0.8405 0.7542 1
O102 O 0.6892 0.8183 0.0729 1
O103 O 0.6908 0.4838 0.6961 1
O104 O 0.6944 0.1747 0.1337 1
O105 O 0.6963 0.5079 0.8027 1
O106 O 0.6960 0.8128 0.3613 1
O107 O 0.6976 0.8445 0.4671 1
O108 O 0.7032 0.1501 0.0260 1
O109 O 0.7938 0.6415 0.5184 1
O110 O 0.7970 0.0074 0.3047 1
O111 O 0.8027 0.3428 0.9690 1
O112 O 0.8052 0.3141 0.8625 1
O113 O 0.8049 0.9822 0.1969 1
O114 O 0.8115 0.3243 0.5756 1
O115 O 0.8132 0.6747 0.6388 1
O116 O 0.8144 0.6480 0.2408 1
O117 O 0.8149 0.3429 0.2521 1
O118 O 0.8170 0.0038 0.5905 1
O119 O 0.8171 0.6716 0.9242 1
O120 O 0.8166 0.9866 0.9095 1
O121 O 0.8785 0.2350 0.3606 1
O122 O 0.8787 0.7519 0.1350 1
O123 O 0.8802 0.5713 0.0285 1
O124 O 0.8819 0.0888 0.8041 1
O125 O 0.8833 0.4210 0.4681 1
O126 O 0.8852 0.4132 0.7534 1
O127 O 0.8878 0.9039 0.6960 1
O128 O 0.8901 0.9101 0.4071 1
O129 O 0.8915 0.0818 0.0877 1
O130 O 0.8924 0.5732 0.7434 1
O131 O 0.8933 0.2420 0.0765 1
O132 O 0.8932 0.7494 0.4201 1
O133 O 0.9195 0.5580 0.1362 1
O134 O 0.9197 0.8912 0.8031 1
O135 O 0.9221 0.0944 0.6970 1
O136 O 0.9220 0.2236 0.4672 1
O137 O 0.9232 0.0922 0.4090 1
O138 O 0.9229 0.4310 0.3610 1
O139 O 0.9251 0.4272 0.0746 1
O140 O 0.9268 0.7612 0.0286 1
O141 O 0.9277 0.2283 0.7532 1
O142 O 0.9282 0.7607 0.7449 1
O143 O 0.9292 0.5628 0.4178 1
O144 O 0.9336 0.8932 0.0859 1
# Energy of formation in meV/atom: -2356
# Energy with MP2020 corrections in eV per atom: -6.687
# Total moment in μB per atom: 0.000